Entry 1:
DFT (PBE) results for CaAl2O4 after structural relaxation.

## Properties
Calculated volume (Å³/atom): 9.7
DFT total energy (eV per atom): -7.187

abc: 9.000 2.900 10.411
angles: 90.00 90.00 90.00
Space group Pnma (No. 62)
Asymmetric unit:
Ca 0.242 0.250 0.155
Al 0.062 0.250 0.389
Al 0.081 0.250 0.897
O 0.026 0.750 0.785
O 0.077 0.250 0.572
O 0.114 0.750 0.020
O 0.203 0.750 0.346



Entry 2:
DFT (PBE) results for Ca2AlP2O9 after structural relaxation.

## Properties
Calculated volume (Å³/atom): 11.9
DFT total energy (eV per atom): -7.152

abc: 7.651 5.671 8.316
angles: 90.00 113.03 90.00
Space group P2_1/m (No. 11)
Asymmetric unit:
Ca 0.177 0.250 0.086
Ca 0.205 0.750 0.747
Al 0.500 0.000 0.500
P 0.077 0.750 0.316
P 0.500 0.250 0.833
O 0.005 0.250 0.544
O 0.013 0.529 0.196
O 0.287 0.750 0.053
O 0.304 0.750 0.413
O 0.350 0.250 0.392
O 0.380 0.250 0.942
O 0.446 0.027 0.708



Entry 3:
DFT (PBE) results for Ca2Al8PbO15 after structural relaxation.

## Properties
Calculated volume (Å³/atom): 13.2
DFT total energy (eV per atom): -7.224

abc: 5.422 28.290 8.974
angles: 90.00 90.00 90.00
Space group Pnma (No. 62)
Asymmetric unit:
Ca 0.060 0.111 0.067
Al 0.019 0.189 0.347
Al 0.027 0.662 0.312
Al 0.126 0.039 0.337
Al 0.190 0.059 0.694
Pb 0.070 0.750 0.043
O 0.030 0.107 0.783
O 0.041 0.250 0.397
O 0.102 0.523 0.304
O 0.113 0.659 0.500
O 0.166 0.564 0.704
O 0.167 0.673 0.810
O 0.243 0.693 0.201
O 0.245 0.558 0.004



Entry 4:
DFT (PBE) results for Ca2AlSbO5 after structural relaxation.

## Properties
Calculated volume (Å³/atom): 14.2
DFT total energy (eV per atom): -6.506

abc: 15.904 6.026 5.535
angles: 90.00 106.04 90.00
Space group Cc (No. 9)
Asymmetric unit:
Ca 0.000 0.215 0.000
Ca 0.255 0.275 0.243
Al 0.374 0.180 0.873
Sb 0.139 0.236 0.634
O 0.122 0.400 0.289
O 0.197 0.002 0.469
O 0.272 0.336 0.781
O 0.388 0.073 0.194
O 0.451 0.372 0.829



no.,calculated formation energy (eV/atom)
1,-3.3958
2,-3.0853
3,-3.3164
4,-2.8184